VASP calculation (PBE-GGA) on a geometry-optimized LaNd3 structure.

## Properties
Crystal system: hexagonal
Volume (Å³ per atom): 36.1
Final energy (eV/atom): -4.78
Symmetry: P6_3/mmc (194)
Energy relative to the lowest polymorph listed for this composition (meV per atom): 18

abc: 7.444 7.444 6.018
angles: 90.00 90.00 120.00
Element x y z (fractional)
La: 0.667 0.333 0.250
La: 0.333 0.667 0.750
Nd: 0.834 0.166 0.750
Nd: 0.332 0.166 0.750
Nd: 0.834 0.668 0.750
Nd: 0.166 0.834 0.250
Nd: 0.668 0.834 0.250
Nd: 0.166 0.332 0.250